# 1
r²SCAN Li2SnHg, relaxed; calculated total energy = -1.47567 Ry/atom; SG = Fm-3m; energy of formation from the pure elements = -356 meV per atom
1.0
-3.752 -0.833 2.747
-1.214 3.105 3.348
-3.912 2.600 -0.497
Li Sn Hg
2 1 1
Cartesian
-3.912 2.600 -0.497 Li
-4.439 2.436 2.799 Li
-6.659 3.654 4.199 Sn
-2.220 1.218 1.400 Hg

=====

# 2
r²SCAN SmTmRu2, relaxed; calculated total energy = -2.14952 Ry/atom; SG = Fm-3m; energy of formation from the pure elements = -320 meV per atom
1.0
2.528 2.643 3.108
-1.966 1.334 4.170
1.538 -1.945 4.109
Sm Tm Ru
1 1 2
Cartesian
0.525 0.508 2.847 Sm
1.575 1.524 8.540 Tm
0.000 0.000 0.000 Ru
1.050 1.016 5.693 Ru